(1)
# Na7CaHf3Si3P3O24 | Materials Project | PBE | relaxed
# DFT formation energy   -126.6 eV/f.u.
# Magnetic moment   0.00 μB per formula unit
# Symmetry   No. 1
# ρ   3.89 g/cm3
data_Na7CaHf3Si3P3O24
_symmetry_space_group_name_H-M 'P 1'
_symmetry_Int_Tables_number 1
_cell_length_a 9.217
_cell_length_b 9.210
_cell_length_c 22.619
_cell_angle_alpha 90.04
_cell_angle_beta 90.09
_cell_angle_gamma 119.95
loop_
_symmetry_equiv_pos_as_xyz
'x,y,z'
loop_
_atom_site_label
_atom_site_type_symbol
_atom_site_fract_x
_atom_site_fract_y
_atom_site_fract_z
_atom_site_occupancy
Na1 Na 0.639 0.012 0.245 1
Na2 Na 0.375 0.362 0.245 1
Na3 Na 0.988 0.631 0.249 1
Na4 Na 0.638 0.622 0.749 1
Na5 Na 0.987 0.372 0.744 1
Na6 Na 0.372 0.007 0.745 1
Na7 Na 0.026 0.684 0.585 1
Na8 Na 0.668 0.979 0.578 1
Na9 Na 0.320 0.981 0.083 1
Na10 Na 0.656 0.684 0.084 1
Na11 Na 0.024 0.334 0.078 1
Na12 Na 0.333 0.305 0.919 1
Na13 Na 0.970 0.288 0.417 1
Na14 Na 0.318 0.030 0.415 1
Na15 Na 0.713 0.682 0.415 1
Na16 Na 0.009 0.013 0.494 1
Na17 Na 0.983 0.994 0.997 1
Na18 Na 0.692 0.350 0.835 1
Na19 Na 0.665 0.333 0.334 1
Na20 Na 0.342 0.669 0.165 1
Na21 Na 0.321 0.647 0.663 1
Ca1 Ca 0.999 0.000 0.353 1
Ca2 Ca 0.669 0.337 0.682 1
Ca3 Ca 0.664 0.331 0.177 1
Hf1 Hf 0.991 0.991 0.856 1
Hf2 Hf 0.006 0.004 0.646 1
Hf3 Hf 0.000 0.003 0.148 1
Hf4 Hf 0.671 0.331 0.980 1
Hf5 Hf 0.668 0.332 0.482 1
Hf6 Hf 0.337 0.665 0.013 1
Hf7 Hf 0.331 0.659 0.518 1
Hf8 Hf 0.334 0.666 0.318 1
Hf9 Hf 0.328 0.663 0.817 1
Si1 Si 0.008 0.712 0.750 1
Si2 Si 0.971 0.334 0.586 1
Si3 Si 0.664 0.029 0.085 1
Si4 Si 0.364 0.335 0.083 1
Si5 Si 0.629 0.662 0.916 1
Si6 Si 0.033 0.369 0.916 1
Si7 Si 0.621 0.964 0.419 1
Si8 Si 0.343 0.377 0.416 1
Si9 Si 0.036 0.659 0.418 1
P1 P 0.296 0.993 0.251 1
P2 P 0.697 0.703 0.250 1
P3 P 0.007 0.305 0.250 1
P4 P 0.284 0.291 0.754 1
P5 P 0.708 0.992 0.751 1
P6 P 0.366 0.033 0.584 1
P7 P 0.668 0.636 0.585 1
P8 P 0.968 0.635 0.083 1
P9 P 0.336 0.963 0.916 1
O1 O 0.216 0.011 0.307 1
O2 O 0.795 0.781 0.307 1
O3 O 0.984 0.205 0.306 1
O4 O 0.196 0.190 0.810 1
O5 O 0.997 0.823 0.805 1
O6 O 0.822 0.014 0.804 1
O7 O 0.795 0.973 0.694 1
O8 O 0.171 0.199 0.699 1
O9 O 0.028 0.823 0.690 1
O10 O 0.797 0.816 0.196 1
O11 O 0.021 0.204 0.195 1
O12 O 0.183 0.977 0.195 1
O13 O 0.904 0.373 0.646 1
O14 O 0.464 0.101 0.641 1
O15 O 0.638 0.543 0.643 1
O16 O 0.913 0.536 0.141 1
O17 O 0.621 0.085 0.147 1
O18 O 0.472 0.386 0.143 1
O19 O 0.461 0.301 0.028 1
O20 O 0.840 0.539 0.033 1
O21 O 0.702 0.169 0.033 1
O22 O 0.458 0.147 0.530 1
O23 O 0.691 0.541 0.532 1
O24 O 0.840 0.306 0.530 1
O25 O 0.536 0.685 0.974 1
O26 O 0.152 0.464 0.973 1
O27 O 0.312 0.855 0.971 1
O28 O 0.526 0.852 0.477 1
O29 O 0.323 0.481 0.470 1
O30 O 0.153 0.680 0.475 1
O31 O 0.127 0.632 0.358 1
O32 O 0.505 0.870 0.359 1
O33 O 0.368 0.490 0.355 1
O34 O 0.128 0.487 0.858 1
O35 O 0.356 0.874 0.861 1
O36 O 0.508 0.638 0.858 1
O37 O 0.014 0.821 0.418 1
O38 O 0.806 0.988 0.418 1
O39 O 0.181 0.194 0.417 1
O40 O 0.031 0.190 0.912 1
O41 O 0.183 0.990 0.911 1
O42 O 0.815 0.828 0.912 1
O43 O 0.974 0.156 0.588 1
O44 O 0.187 0.012 0.587 1
O45 O 0.835 0.811 0.587 1
O46 O 0.978 0.810 0.089 1
O47 O 0.834 0.010 0.089 1
O48 O 0.179 0.160 0.089 1
O49 O 0.683 0.144 0.749 1
O50 O 0.457 0.308 0.750 1
O51 O 0.841 0.529 0.753 1
O52 O 0.675 0.526 0.246 1
O53 O 0.857 0.333 0.244 1
O54 O 0.473 0.147 0.246 1
O55 O 0.633 0.487 0.923 1
O56 O 0.848 0.349 0.922 1
O57 O 0.493 0.139 0.922 1
O58 O 0.627 0.146 0.422 1
O59 O 0.517 0.371 0.423 1
O60 O 0.853 0.485 0.423 1
O61 O 0.327 0.491 0.073 1
O62 O 0.147 0.667 0.070 1
O63 O 0.500 0.843 0.073 1
O64 O 0.342 0.854 0.577 1
O65 O 0.524 0.676 0.576 1
O66 O 0.156 0.500 0.577 1
O67 O 0.302 0.825 0.250 1
O68 O 0.524 0.698 0.250 1
O69 O 0.176 0.477 0.250 1
O70 O 0.300 0.469 0.755 1
O71 O 0.183 0.702 0.754 1
O72 O 0.534 0.826 0.755 1



(2)
# Na6Ca7HfS12O48 | Materials Project | PBE | relaxed
# DFT formation energy   -183.9 eV/f.u.
# Magnetic moment   0.00 μB per formula unit
# Symmetry   No. 1
# ρ   2.46 g/cm3
data_Na6Ca7HfS12O48
_symmetry_space_group_name_H-M 'P 1'
_symmetry_Int_Tables_number 1
_cell_length_a 18.422
_cell_length_b 9.203
_cell_length_c 24.137
_cell_angle_alpha 90.06
_cell_angle_beta 89.94
_cell_angle_gamma 119.95
loop_
_symmetry_equiv_pos_as_xyz
'x,y,z'
loop_
_atom_site_label
_atom_site_type_symbol
_atom_site_fract_x
_atom_site_fract_y
_atom_site_fract_z
_atom_site_occupancy
Na1 Na 0.321 0.641 0.749 1
Na2 Na 0.649 0.331 0.584 1
Na3 Na 0.987 0.668 0.918 1
Na4 Na 0.665 0.302 0.915 1
Na5 Na 0.167 0.030 0.417 1
Na6 Na 0.666 0.029 0.417 1
Na7 Na 0.995 0.003 0.496 1
Na8 Na 0.485 0.983 0.501 1
Na9 Na 0.003 0.016 0.998 1
Na10 Na 0.491 0.985 0.995 1
Na11 Na 0.338 0.325 0.837 1
Na12 Na 0.830 0.317 0.830 1
Na13 Na 0.340 0.346 0.335 1
Na14 Na 0.840 0.346 0.334 1
Na15 Na 0.168 0.667 0.166 1
Na16 Na 0.666 0.666 0.167 1
Na17 Na 0.165 0.671 0.663 1
Na18 Na 0.662 0.674 0.670 1
Ca1 Ca 0.996 0.000 0.350 1
Ca2 Ca 0.495 0.000 0.351 1
Ca3 Ca 0.001 0.010 0.850 1
Ca4 Ca 0.497 0.996 0.849 1
Ca5 Ca 0.498 0.995 0.651 1
Ca6 Ca 0.337 0.329 0.681 1
Ca7 Ca 0.832 0.331 0.684 1
Ca8 Ca 0.333 0.333 0.183 1
Ca9 Ca 0.833 0.333 0.183 1
Ca10 Ca 0.334 0.335 0.986 1
Ca11 Ca 0.833 0.323 0.989 1
Ca12 Ca 0.337 0.341 0.486 1
Ca13 Ca 0.842 0.343 0.486 1
Ca14 Ca 0.170 0.668 0.018 1
Ca15 Ca 0.666 0.670 0.018 1
Ca16 Ca 0.167 0.661 0.518 1
Ca17 Ca 0.666 0.671 0.516 1
Ca18 Ca 0.167 0.662 0.314 1
Ca19 Ca 0.667 0.662 0.313 1
Ca20 Ca 0.165 0.668 0.816 1
Ca21 Ca 0.667 0.670 0.815 1
Hf1 Hf 0.000 0.001 0.650 1
Hf2 Hf 0.001 0.000 0.151 1
Hf3 Hf 0.500 0.000 0.150 1
S1 S 0.145 0.999 0.249 1
S2 S 0.644 0.000 0.249 1
S3 S 0.355 0.710 0.247 1
S4 S 0.855 0.711 0.247 1
S5 S 0.000 0.290 0.247 1
S6 S 0.500 0.290 0.247 1
S7 S 0.146 0.293 0.747 1
S8 S 0.651 0.301 0.750 1
S9 S 0.000 0.711 0.749 1
S10 S 0.499 0.699 0.750 1
S11 S 0.349 0.997 0.750 1
S12 S 0.856 0.000 0.748 1
S13 S 0.486 0.333 0.583 1
S14 S 0.983 0.326 0.587 1
S15 S 0.178 0.031 0.585 1
S16 S 0.685 0.038 0.582 1
S17 S 0.333 0.634 0.586 1
S18 S 0.837 0.639 0.586 1
S19 S 0.483 0.640 0.087 1
S20 S 0.984 0.642 0.085 1
S21 S 0.337 0.034 0.086 1
S22 S 0.837 0.032 0.087 1
S23 S 0.180 0.325 0.087 1
S24 S 0.679 0.326 0.085 1
S25 S 0.316 0.664 0.915 1
S26 S 0.816 0.664 0.918 1
S27 S 0.017 0.372 0.918 1
S28 S 0.519 0.370 0.917 1
S29 S 0.166 0.964 0.917 1
S30 S 0.667 0.970 0.917 1
S31 S 0.313 0.964 0.417 1
S32 S 0.814 0.965 0.417 1
S33 S 0.167 0.364 0.416 1
S34 S 0.668 0.365 0.418 1
S35 S 0.020 0.669 0.416 1
S36 S 0.519 0.669 0.415 1
O1 O 0.107 0.016 0.301 1
O2 O 0.607 0.016 0.301 1
O3 O 0.402 0.787 0.298 1
O4 O 0.902 0.787 0.298 1
O5 O 0.492 0.197 0.298 1
O6 O 0.992 0.197 0.298 1
O7 O 0.108 0.198 0.798 1
O8 O 0.609 0.203 0.801 1
O9 O 0.488 0.781 0.799 1
O10 O 0.992 0.786 0.801 1
O11 O 0.399 0.016 0.800 1
O12 O 0.902 0.015 0.798 1
O13 O 0.390 0.976 0.700 1
O14 O 0.905 0.990 0.698 1
O15 O 0.092 0.195 0.698 1
O16 O 0.602 0.219 0.699 1
O17 O 0.005 0.824 0.700 1
O18 O 0.508 0.798 0.699 1
O19 O 0.404 0.820 0.198 1
O20 O 0.905 0.820 0.198 1
O21 O 0.005 0.191 0.198 1
O22 O 0.505 0.191 0.198 1
O23 O 0.089 0.989 0.200 1
O24 O 0.589 0.989 0.200 1
O25 O 0.446 0.351 0.633 1
O26 O 0.942 0.348 0.635 1
O27 O 0.232 0.118 0.632 1
O28 O 0.736 0.124 0.631 1
O29 O 0.325 0.540 0.637 1
O30 O 0.824 0.531 0.634 1
O31 O 0.442 0.536 0.135 1
O32 O 0.940 0.533 0.132 1
O33 O 0.326 0.116 0.135 1
O34 O 0.826 0.115 0.135 1
O35 O 0.232 0.348 0.135 1
O36 O 0.733 0.347 0.132 1
O37 O 0.213 0.292 0.036 1
O38 O 0.711 0.294 0.033 1
O39 O 0.433 0.574 0.036 1
O40 O 0.936 0.578 0.033 1
O41 O 0.353 0.134 0.036 1
O42 O 0.854 0.131 0.036 1
O43 O 0.210 0.126 0.533 1
O44 O 0.724 0.138 0.531 1
O45 O 0.340 0.545 0.536 1
O46 O 0.854 0.574 0.535 1
O47 O 0.436 0.316 0.533 1
O48 O 0.934 0.292 0.536 1
O49 O 0.272 0.681 0.964 1
O50 O 0.776 0.685 0.968 1
O51 O 0.067 0.453 0.968 1
O52 O 0.571 0.452 0.967 1
O53 O 0.154 0.859 0.967 1
O54 O 0.660 0.873 0.967 1
O55 O 0.273 0.865 0.467 1
O56 O 0.774 0.866 0.467 1
O57 O 0.158 0.444 0.466 1
O58 O 0.659 0.442 0.470 1
O59 O 0.070 0.688 0.466 1
O60 O 0.569 0.690 0.465 1
O61 O 0.060 0.651 0.366 1
O62 O 0.560 0.651 0.365 1
O63 O 0.263 0.882 0.367 1
O64 O 0.763 0.882 0.367 1
O65 O 0.175 0.462 0.366 1
O66 O 0.676 0.467 0.369 1
O67 O 0.057 0.472 0.867 1
O68 O 0.559 0.469 0.867 1
O69 O 0.174 0.884 0.866 1
O70 O 0.677 0.890 0.867 1
O71 O 0.269 0.648 0.863 1
O72 O 0.766 0.644 0.868 1
O73 O 0.015 0.828 0.413 1
O74 O 0.514 0.827 0.412 1
O75 O 0.399 0.988 0.413 1
O76 O 0.899 0.988 0.413 1
O77 O 0.092 0.190 0.413 1
O78 O 0.593 0.192 0.414 1
O79 O 0.005 0.200 0.914 1
O80 O 0.515 0.202 0.913 1
O81 O 0.086 0.972 0.913 1
O82 O 0.592 0.993 0.913 1
O83 O 0.401 0.817 0.913 1
O84 O 0.903 0.810 0.913 1
O85 O 0.497 0.183 0.586 1
O86 O 0.992 0.169 0.597 1
O87 O 0.092 0.015 0.596 1
O88 O 0.602 0.031 0.586 1
O89 O 0.409 0.803 0.587 1
O90 O 0.912 0.813 0.596 1
O91 O 0.492 0.815 0.096 1
O92 O 0.992 0.814 0.095 1
O93 O 0.415 0.016 0.096 1
O94 O 0.915 0.015 0.096 1
O95 O 0.093 0.169 0.096 1
O96 O 0.593 0.170 0.096 1
O97 O 0.337 0.144 0.746 1
O98 O 0.848 0.150 0.742 1
O99 O 0.231 0.316 0.741 1
O100 O 0.735 0.317 0.748 1
O101 O 0.419 0.532 0.746 1
O102 O 0.925 0.545 0.742 1
O103 O 0.346 0.543 0.241 1
O104 O 0.847 0.544 0.241 1
O105 O 0.425 0.308 0.241 1
O106 O 0.925 0.308 0.241 1
O107 O 0.228 0.149 0.242 1
O108 O 0.728 0.150 0.242 1
O109 O 0.324 0.512 0.920 1
O110 O 0.823 0.507 0.922 1
O111 O 0.433 0.346 0.922 1
O112 O 0.934 0.364 0.922 1
O113 O 0.239 0.134 0.922 1
O114 O 0.743 0.144 0.921 1
O115 O 0.318 0.132 0.421 1
O116 O 0.818 0.132 0.421 1
O117 O 0.242 0.341 0.420 1
O118 O 0.743 0.342 0.421 1
O119 O 0.433 0.521 0.420 1
O120 O 0.934 0.521 0.420 1
O121 O 0.167 0.471 0.081 1
O122 O 0.667 0.472 0.081 1
O123 O 0.069 0.666 0.080 1
O124 O 0.569 0.666 0.081 1
O125 O 0.265 0.863 0.081 1
O126 O 0.764 0.861 0.081 1
O127 O 0.165 0.860 0.581 1
O128 O 0.673 0.868 0.579 1
O129 O 0.257 0.651 0.582 1
O130 O 0.760 0.654 0.580 1
O131 O 0.068 0.471 0.581 1
O132 O 0.573 0.483 0.579 1
O133 O 0.149 0.844 0.248 1
O134 O 0.649 0.844 0.248 1
O135 O 0.273 0.701 0.247 1
O136 O 0.773 0.701 0.247 1
O137 O 0.078 0.455 0.247 1
O138 O 0.578 0.455 0.247 1
O139 O 0.153 0.461 0.747 1
O140 O 0.659 0.471 0.753 1
O141 O 0.078 0.702 0.747 1
O142 O 0.573 0.677 0.754 1
O143 O 0.266 0.837 0.754 1
O144 O 0.773 0.845 0.747 1



(3)
# Na2Ca3HfS6O24 | Materials Project | PBE | relaxed
# DFT formation energy   -90.0 eV/f.u.
# Magnetic moment   0.00 μB per formula unit
# Symmetry   No. 143
# ρ   2.67 g/cm3
data_Na2Ca3HfS6O24
_symmetry_space_group_name_H-M 'P 1'
_symmetry_Int_Tables_number 1
_cell_length_a 9.087
_cell_length_b 9.087
_cell_length_c 24.069
_cell_angle_alpha 90.00
_cell_angle_beta 90.00
_cell_angle_gamma 120.00
loop_
_symmetry_equiv_pos_as_xyz
'x,y,z'
loop_
_atom_site_label
_atom_site_type_symbol
_atom_site_fract_x
_atom_site_fract_y
_atom_site_fract_z
_atom_site_occupancy
Na1 Na 0.000 0.000 0.509 1
Na2 Na 0.000 0.000 0.005 1
Na3 Na 0.667 0.333 0.826 1
Na4 Na 0.667 0.333 0.338 1
Na5 Na 0.333 0.667 0.178 1
Na6 Na 0.333 0.667 0.654 1
Ca1 Ca 0.000 0.000 0.646 1
Ca2 Ca 0.000 0.000 0.149 1
Ca3 Ca 0.667 0.333 0.682 1
Ca4 Ca 0.667 0.333 0.187 1
Ca5 Ca 0.667 0.333 0.983 1
Ca6 Ca 0.667 0.333 0.484 1
Ca7 Ca 0.333 0.667 0.514 1
Ca8 Ca 0.333 0.667 0.319 1
Ca9 Ca 0.333 0.667 0.813 1
Hf1 Hf 0.000 0.000 0.351 1
Hf2 Hf 0.000 0.000 0.850 1
Hf3 Hf 0.333 0.667 0.016 1
S1 S 0.291 0.000 0.251 1
S2 S 0.709 0.709 0.251 1
S3 S 0.000 0.291 0.251 1
S4 S 0.291 0.287 0.753 1
S5 S 0.996 0.709 0.753 1
S6 S 0.713 0.004 0.753 1
S7 S 0.969 0.336 0.583 1
S8 S 0.367 0.031 0.583 1
S9 S 0.664 0.633 0.583 1
S10 S 0.973 0.633 0.080 1
S11 S 0.660 0.027 0.080 1
S12 S 0.367 0.340 0.080 1
S13 S 0.631 0.676 0.917 1
S14 S 0.045 0.369 0.917 1
S15 S 0.324 0.955 0.917 1
S16 S 0.641 0.969 0.413 1
S17 S 0.328 0.359 0.413 1
S18 S 0.031 0.672 0.413 1
O1 O 0.193 0.010 0.301 1
O2 O 0.817 0.807 0.301 1
O3 O 0.990 0.183 0.301 1
O4 O 0.191 0.178 0.805 1
O5 O 0.987 0.809 0.805 1
O6 O 0.822 0.013 0.805 1
O7 O 0.793 0.989 0.703 1
O8 O 0.196 0.207 0.703 1
O9 O 0.011 0.804 0.703 1
O10 O 0.787 0.802 0.200 1
O11 O 0.015 0.213 0.200 1
O12 O 0.198 0.985 0.200 1
O13 O 0.886 0.349 0.635 1
O14 O 0.463 0.114 0.635 1
O15 O 0.651 0.537 0.635 1
O16 O 0.907 0.533 0.131 1
O17 O 0.626 0.093 0.131 1
O18 O 0.467 0.374 0.131 1
O19 O 0.449 0.318 0.031 1
O20 O 0.869 0.551 0.031 1
O21 O 0.682 0.131 0.031 1
O22 O 0.453 0.130 0.533 1
O23 O 0.677 0.547 0.533 1
O24 O 0.870 0.323 0.533 1
O25 O 0.543 0.699 0.967 1
O26 O 0.155 0.457 0.967 1
O27 O 0.301 0.845 0.967 1
O28 O 0.574 0.867 0.464 1
O29 O 0.294 0.426 0.464 1
O30 O 0.133 0.706 0.464 1
O31 O 0.113 0.650 0.364 1
O32 O 0.537 0.887 0.364 1
O33 O 0.350 0.463 0.364 1
O34 O 0.122 0.469 0.867 1
O35 O 0.347 0.878 0.867 1
O36 O 0.531 0.653 0.867 1
O37 O 0.014 0.830 0.404 1
O38 O 0.816 0.986 0.404 1
O39 O 0.170 0.184 0.404 1
O40 O 0.034 0.197 0.913 1
O41 O 0.163 0.966 0.913 1
O42 O 0.803 0.837 0.913 1
O43 O 0.987 0.182 0.585 1
O44 O 0.195 0.013 0.585 1
O45 O 0.818 0.805 0.585 1
O46 O 0.002 0.807 0.084 1
O47 O 0.805 0.998 0.084 1
O48 O 0.193 0.195 0.084 1
O49 O 0.705 0.162 0.755 1
O50 O 0.457 0.295 0.755 1
O51 O 0.838 0.543 0.755 1
O52 O 0.700 0.542 0.252 1
O53 O 0.842 0.300 0.252 1
O54 O 0.458 0.158 0.252 1
O55 O 0.656 0.530 0.924 1
O56 O 0.874 0.344 0.924 1
O57 O 0.470 0.126 0.924 1
O58 O 0.668 0.142 0.418 1
O59 O 0.474 0.332 0.418 1
O60 O 0.858 0.526 0.418 1
O61 O 0.351 0.500 0.070 1
O62 O 0.149 0.649 0.070 1
O63 O 0.500 0.851 0.070 1
O64 O 0.350 0.859 0.581 1
O65 O 0.509 0.650 0.581 1
O66 O 0.141 0.491 0.581 1
O67 O 0.309 0.848 0.256 1
O68 O 0.539 0.691 0.256 1
O69 O 0.152 0.461 0.256 1
O70 O 0.307 0.455 0.759 1
O71 O 0.148 0.693 0.759 1
O72 O 0.545 0.852 0.759 1